# PBE Li10ZnP4S16, relaxed
# Relative energy among the computed polymorphs: 0.001 eV per atom
# E_form: -34.84 eV/f.u.
data_Li10ZnP4S16
_chemical_formula_sum 'Li10 Zn1 P4 S16'
_space_group_name_H-M_alt 'P 1'
_space_group_IT_number 1
_cell_length_a 6.529
_cell_length_b 7.771
_cell_length_c 12.367
_cell_angle_alpha 89.80
_cell_angle_beta 89.91
_cell_angle_gamma 89.45
loop_
_space_group_symop_operation_xyz
'x,y,z'
loop_
_atom_site_label
_atom_site_fract_x
_atom_site_fract_y
_atom_site_fract_z
Li1 0.000 0.000 0.000
Li2 0.001 0.514 0.004
Li3 0.358 0.514 0.256
Li4 0.364 0.024 0.250
Li5 0.373 0.508 0.750
Li6 0.375 0.017 0.751
Li7 0.544 0.264 0.007
Li8 0.547 0.300 0.505
Li9 0.834 0.743 0.262
Li10 0.838 0.751 0.754
Zn1 0.993 0.018 0.503
P1 0.502 0.776 0.500
P2 0.506 0.762 0.003
P3 0.864 0.266 0.256
P4 0.874 0.256 0.750
S1 0.004 0.035 0.310
S2 0.009 0.468 0.321
S3 0.016 0.034 0.803
S4 0.018 0.470 0.809
S5 0.352 0.569 0.557
S6 0.354 0.003 0.552
S7 0.358 0.982 0.054
S8 0.359 0.545 0.059
S9 0.493 0.772 0.334
S10 0.500 0.759 0.836
S11 0.564 0.265 0.306
S12 0.575 0.260 0.804
S13 0.801 0.759 0.060
S14 0.804 0.771 0.553
S15 0.883 0.256 0.089
S16 0.896 0.281 0.583